[1]
Compound: Pd7Se2
Source: Materials Project
Functional: r²SCAN
Structure: optimized geometry

a = 5.601 Å, b = 5.383 Å, c = 9.488 Å
α = 90.00°, β = 93.58°, γ = 90.00°
Space group P2_1/c (No. 14)
One atom of each set of equivalent atoms:
Pd  0.000  0.000  0.000 x2
Pd  0.071  0.156  0.292 x4
Pd  0.295  0.080  0.574 x4
Pd  0.470  0.597  0.650 x4
Se  0.273  0.727  0.878 x4

The crystal system is monoclinic. Its density is 10.50 g cm⁻³. Its energy relative to the elements is -0.168 eV/atom.

=====

[2]
Compound: Pd17Se15
Source: Materials Project
Functional: r²SCAN
Structure: optimized geometry

a = 10.699 Å, b = 10.699 Å, c = 10.699 Å
α = 90.00°, β = 90.00°, γ = 90.00°
Space group Pm-3m (No. 221)
One atom of each set of equivalent atoms:
Pd  0.000  0.000  0.000 x1
Pd  0.000  0.500  0.500 x3
Pd  0.148  0.148  0.350 x24
Pd  0.260  0.500  0.500 x6
Se  0.000  0.000  0.241 x6
Se  0.000  0.330  0.330 x12
Se  0.270  0.270  0.500 x12

The crystal system is cubic. Its density is 8.12 g cm⁻³. Its energy relative to the elements is -0.375 eV/atom.

=====

- Look up the density of the first one.
  10.50 g cm⁻³